An optimized crystal structure of Sm2USe5, computed with meta-GGA r2SCAN.

Properties
Total magnetization: 8.00 μB per cell
Energy of formation from the pure elements: -1.967 eV per atom
Symmetry: Pnma
Total energy: -28.337 eV/atom

a b c (Å): 7.841 8.394 12.384
angles (deg): 90.00 90.00 90.00
Positions (direct):
Sm (0.518, 0.498, 0.321)
Sm (0.982, 0.002, 0.821)
Sm (0.482, 0.998, 0.679)
Sm (0.018, 0.502, 0.179)
Sm (0.482, 0.502, 0.679)
Sm (0.018, 0.998, 0.179)
Sm (0.518, 0.002, 0.321)
Sm (0.982, 0.498, 0.821)
U (0.076, 0.750, 0.490)
U (0.424, 0.750, 0.990)
U (0.924, 0.250, 0.510)
U (0.576, 0.250, 0.010)
Se (0.837, 0.956, 0.598)
Se (0.663, 0.544, 0.098)
Se (0.163, 0.456, 0.402)
Se (0.337, 0.044, 0.902)
Se (0.163, 0.044, 0.402)
Se (0.337, 0.456, 0.902)
Se (0.837, 0.544, 0.598)
Se (0.663, 0.956, 0.098)
Se (0.827, 0.750, 0.316)
Se (0.673, 0.750, 0.816)
Se (0.173, 0.250, 0.684)
Se (0.327, 0.250, 0.184)
Se (0.460, 0.750, 0.500)
Se (0.040, 0.750, 0.000)
Se (0.540, 0.250, 0.500)
Se (0.960, 0.250, 0.000)
Se (0.200, 0.750, 0.715)
Se (0.300, 0.750, 0.215)
Se (0.800, 0.250, 0.285)
Se (0.700, 0.250, 0.785)

An optimized crystal structure of SmY4Se5, computed with meta-GGA r2SCAN.

Properties
Total magnetization: 0.00 μB per cell
Energy of formation from the pure elements: -2.020 eV per atom
Symmetry: R-3m
Total energy: -20.275 eV/atom

a b c (Å): 16.970 16.970 16.970
angles (deg): 13.80 13.80 13.80
Positions (direct):
Sm (0.000, 0.000, 0.000)
Y (0.599, 0.599, 0.599)
Y (0.200, 0.200, 0.200)
Y (0.800, 0.800, 0.800)
Y (0.401, 0.401, 0.401)
Se (0.702, 0.702, 0.702)
Se (0.101, 0.101, 0.101)
Se (0.500, 0.500, 0.500)
Se (0.298, 0.298, 0.298)
Se (0.899, 0.899, 0.899)

An optimized crystal structure of YbSmSe3, computed with meta-GGA r2SCAN.

Properties
Total magnetization: 0.00 μB per cell
Energy of formation from the pure elements: -2.181 eV per atom
Symmetry: Cmcm
Total energy: -24.021 eV/atom

a b c (Å): 6.823 6.823 9.900
angles (deg): 90.00 90.00 146.04
Positions (direct):
Yb (0.000, 0.000, 0.000)
Yb (0.000, 0.000, 0.500)
Sm (0.252, 0.748, 0.750)
Sm (0.748, 0.252, 0.250)
Se (0.089, 0.911, 0.250)
Se (0.911, 0.089, 0.750)
Se (0.644, 0.356, 0.565)
Se (0.356, 0.644, 0.435)
Se (0.644, 0.356, 0.935)
Se (0.356, 0.644, 0.065)

An optimized crystal structure of Sr2SnSe5, computed with meta-GGA r2SCAN.

Properties
Total magnetization: 0.00 μB per cell
Energy of formation from the pure elements: -1.360 eV per atom
Symmetry: P2_12_12
Total energy: -17.185 eV/atom

a b c (Å): 8.703 12.172 16.725
angles (deg): 90.00 90.00 90.00
Positions (direct):
Sr (0.241, 0.255, 0.431)
Sr (0.256, 0.615, 0.821)
Sr (0.759, 0.382, 0.180)
Sr (0.744, 0.115, 0.679)
Sr (0.241, 0.118, 0.680)
Sr (0.759, 0.618, 0.820)
Sr (0.744, 0.885, 0.321)
Sr (0.740, 0.748, 0.571)
Sr (0.759, 0.755, 0.069)
Sr (0.241, 0.745, 0.569)
Sr (0.759, 0.245, 0.931)
Sr (0.260, 0.752, 0.071)
Sr (0.740, 0.252, 0.429)
Sr (0.256, 0.385, 0.179)
Sr (0.260, 0.248, 0.929)
Sr (0.241, 0.882, 0.320)
Sn (0.016, 0.092, 0.173)
Sn (0.984, 0.408, 0.673)
Sn (0.493, 0.053, 0.104)
Sn (0.507, 0.553, 0.396)
Sn (0.984, 0.592, 0.327)
Sn (0.493, 0.947, 0.896)
Sn (0.507, 0.447, 0.604)
Sn (0.016, 0.908, 0.827)
Se (0.281, 0.872, 0.764)
Se (0.989, 0.939, 0.608)
Se (0.011, 0.561, 0.108)
Se (0.515, 0.742, 0.927)
Se (0.494, 0.371, 0.319)
Se (0.013, 0.245, 0.070)
Se (0.987, 0.255, 0.570)
Se (0.281, 0.128, 0.236)
Se (0.228, 0.634, 0.250)
Se (0.485, 0.758, 0.427)
Se (0.650, 0.000, 0.500)
Se (0.489, 0.058, 0.391)
Se (0.157, 0.000, 0.500)
Se (0.989, 0.061, 0.392)
Se (0.995, 0.618, 0.675)
Se (0.843, 0.500, 0.000)
Se (0.282, 0.500, 0.500)
Se (0.005, 0.118, 0.825)
Se (0.511, 0.442, 0.891)
Se (0.995, 0.382, 0.325)
Se (0.494, 0.629, 0.681)
Se (0.725, 0.500, 0.500)
Se (0.511, 0.558, 0.109)
Se (0.506, 0.871, 0.181)
Se (0.506, 0.129, 0.819)
Se (0.485, 0.242, 0.573)
Se (0.489, 0.942, 0.609)
Se (0.011, 0.439, 0.892)
Se (0.013, 0.755, 0.930)
Se (0.005, 0.882, 0.175)
Se (0.350, 0.500, 0.000)
Se (0.772, 0.134, 0.250)
Se (0.515, 0.258, 0.073)
Se (0.718, 0.000, 0.000)
Se (0.719, 0.372, 0.736)
Se (0.772, 0.866, 0.750)
Se (0.719, 0.628, 0.264)
Se (0.987, 0.745, 0.430)
Se (0.228, 0.366, 0.750)
Se (0.275, 0.000, 0.000)

Q: What is the total energy in the fourth record?
A: -17.185 eV/atom

Q: Look up the energy of formation from the pure elements of the third one.
A: -2.181 eV per atom

Q: Which of these has the highest energy of formation from the pure elements?
A: Sr2SnSe5

Q: Which value of total magnetization does entry 1 give?
A: 8.00 μB per cell